1.
Rb3PO4 | PBE | optimized geometry

```
32
Lattice="6.266 0.000 0.000 0.000 8.576 0.000 0.000 0.000 11.883" Properties=species:S:1:pos:R:3 pbc="T T T"
Rb 5.390 6.432 11.011
Rb 4.331 0.066 1.709
Rb 1.935 8.510 10.173
Rb 4.331 4.222 1.709
Rb 2.257 2.144 6.813
Rb 1.198 8.510 4.232
Rb 4.009 6.432 5.070
Rb 1.198 4.354 4.232
Rb 0.876 2.144 0.872
Rb 5.068 0.066 7.651
Rb 1.935 4.354 10.173
Rb 5.068 4.222 7.651
O 0.563 6.432 8.644
O 0.855 7.719 1.299
O 2.570 6.432 2.702
O 2.757 6.432 0.162
O 3.696 2.144 9.180
O 0.855 5.145 1.299
O 5.411 3.431 10.584
O 2.278 5.145 7.240
O 0.376 6.432 6.103
O 3.988 3.431 4.643
O 3.988 0.857 4.643
O 2.278 7.719 7.240
O 5.703 2.144 3.239
O 5.890 2.144 5.779
O 5.411 0.857 10.584
O 3.509 2.144 11.721
P 4.877 2.144 4.575
P 1.389 6.432 7.308
P 4.522 2.144 10.517
P 1.744 6.432 1.366
```

Values from the calculation:
energy of formation from the pure elements: -2497 meV per atom
space group: Pnma (62)

=====

2.
CaTiAsO5 | PBE | optimized geometry

```
32
Lattice="7.983 0.000 0.000 0.000 5.974 0.000 0.000 0.258 9.251" Properties=species:S:1:pos:R:3 pbc="T T T"
Ti 4.068 1.432 6.773
Ti 0.023 1.687 2.535
Ti 0.077 4.800 2.478
Ti 4.014 4.545 6.716
Ca 4.463 3.081 0.537
Ca 3.267 0.099 3.531
Ca 7.258 6.133 5.720
Ca 0.472 3.151 8.714
O 1.025 3.051 1.856
O 7.437 4.766 0.651
O 2.956 0.222 6.003
O 5.016 3.181 7.395
O 1.261 0.303 2.236
O 4.715 4.465 4.680
O 0.134 3.853 6.485
O 4.125 2.380 2.766
O 6.894 1.706 0.943
O 6.947 6.010 3.248
O 2.903 4.526 8.308
O 0.724 1.767 4.571
O 3.780 5.255 1.367
O 7.771 0.977 7.885
O 2.781 3.010 5.967
O 5.253 5.929 7.015
O 1.327 4.534 4.132
O 3.446 1.466 8.600
O 5.318 1.698 5.119
O 6.772 3.222 3.284
As 5.187 2.964 3.964
As 1.195 3.268 5.288
As 2.562 5.739 0.174
As 6.553 0.493 9.078
```

Values from the calculation:
energy of formation from the pure elements: -2823 meV per atom
space group: P2_1 (4)

=====

3.
HfMg14BiO16 | PBE | optimized geometry

```
32
Lattice="-1.050 -6.771 5.195 -5.138 -4.406 -6.781 3.631 -1.785 -1.592" Properties=species:S:1:pos:R:3 pbc="T T T"
Mg -1.531 -8.110 -0.339
Mg -1.528 -2.806 -0.339
Mg 1.043 -5.872 3.024
Mg -4.661 -8.371 -1.247
Mg -1.026 -4.851 -2.839
Mg 1.538 -2.684 0.578
Mg -2.043 -6.126 2.208
Mg -0.011 -5.394 0.084
Mg -0.525 -3.386 2.597
Mg 0.575 -1.956 -2.434
Mg -2.082 -4.234 -5.940
Mg -2.546 -7.567 -3.262
Mg -3.094 -5.588 -0.793
Mg -4.146 -5.050 -3.795
Bi 0.000 0.000 0.000
O -1.506 -1.291 -1.987
O -4.318 -6.637 -2.408
O 0.283 -3.669 -1.180
O -0.754 -3.095 -4.187
O -0.760 -4.898 3.757
O 1.816 -0.892 -0.796
O -3.353 -7.259 0.489
O -2.835 -3.917 -2.075
O 1.290 -4.278 1.801
O -2.840 -9.293 -1.999
O -1.279 -6.481 -1.589
O -3.633 -3.115 -4.794
O -0.244 -7.067 1.427
O -0.291 -1.874 1.437
O -1.871 -4.540 0.821
O -2.313 -5.894 -4.606
Hf -2.569 -2.203 -3.391
```

Values from the calculation:
polymorph energy (0 for the lowest one): 0.000 eV per atom
energy of formation from the pure elements: -2690 meV per atom
space group: Pmmm (47)

=====

4.
Co3Ru | PBE | optimized geometry

```
8
Lattice="2.555 -4.426 0.000 2.555 4.426 0.000 0.000 0.000 4.078" Properties=species:S:1:pos:R:3 pbc="T T T"
Co 3.857 -0.724 3.058
Co 1.253 0.724 1.019
Co 3.857 0.724 1.019
Co 1.253 -0.724 3.058
Co 2.555 2.979 1.019
Co 2.555 -2.979 3.058
Ru 2.555 1.475 3.058
Ru 2.555 -1.475 1.019
```

Values from the calculation:
energy of formation from the pure elements: 112 meV per atom
space group: P6_3/mmc (194)

=====

5.
ZnSn2O4 | PBE | optimized geometry

```
42
Lattice="2.391 -5.769 -2.102 5.332 -2.578 2.887 -9.296 -7.855 10.505" Properties=species:S:1:pos:R:3 pbc="T T T"
Zn -5.350 -7.065 7.673
Zn 0.347 -7.216 4.410
Zn -7.549 -8.857 10.115
Zn 3.859 -4.176 0.396
Zn -1.896 -8.949 6.841
Zn 3.742 -9.175 3.662
O -2.935 -8.634 5.138
O -3.131 -10.103 8.307
O 4.409 -7.296 4.204
O -0.130 -10.095 6.533
O 0.426 -2.130 1.112
O -5.830 -10.081 9.885
O -3.386 -11.272 11.208
O 5.536 -10.085 3.186
O 2.415 -10.188 5.092
O -0.626 -11.501 9.916
O 2.974 -8.852 1.771
O 1.869 -4.965 0.266
O -2.097 -13.096 7.421
O -3.994 -6.093 6.252
O -4.730 -12.730 8.928
O -1.460 -6.071 4.744
O 3.083 -3.649 2.324
O -1.515 -7.094 7.545
O 1.404 -7.568 6.088
O -7.119 -6.064 8.076
O 1.577 -6.069 2.952
O 4.099 -6.053 1.454
O -1.875 -13.961 10.034
O 0.011 -9.080 3.725
Sn 5.995 -7.347 1.165
Sn -2.641 -12.089 9.288
Sn -3.804 -9.274 10.315
Sn 1.862 -9.383 7.098
Sn 3.676 -5.376 3.446
Sn -1.852 -3.990 3.644
Sn 1.030 -4.100 2.015
Sn 0.389 -10.981 4.598
Sn 3.067 -12.270 6.039
Sn -5.241 -10.833 7.877
Sn 2.216 -6.960 0.969
Sn 0.247 -12.228 7.674
```

Values from the calculation:
polymorph energy (0 for the lowest one): 0.144 eV per atom
energy of formation from the pure elements: -1635 meV per atom
space group: Cm (8)

=====

The highest energy of formation from the pure elements belongs to which entry? Co3Ru